1.
Computed, not measured: a relaxed Sr10P6BrO24F crystal at the GGA-PBE level of DFT.

Properties
* crystal system: monoclinic
* ΔH_f (0 K): -140.68 eV per formula unit
* energy relative to the lowest polymorph listed for this composition: 0.000 eV/atom
* size of the total moment: 0.0 μB/f.u.

Cell: 9.975 7.319 17.270 Å, 90.00 90.00 90.00°
Space group P2_1/m (No. 11)
Asymmetric unit:
Sr 0.001 0.000 0.168 (multiplicity 4)
Sr 0.115 0.250 0.624 (multiplicity 2)
Sr 0.130 0.250 0.381 (multiplicity 2)
Sr 0.242 0.250 0.996 (multiplicity 2)
Sr 0.248 0.750 0.504 (multiplicity 2)
Sr 0.365 0.750 0.130 (multiplicity 2)
Sr 0.374 0.750 0.866 (multiplicity 2)
Sr 0.498 0.000 0.665 (multiplicity 4)
P 0.111 0.750 0.982 (multiplicity 2)
P 0.167 0.750 0.698 (multiplicity 2)
P 0.215 0.750 0.318 (multiplicity 2)
P 0.279 0.250 0.188 (multiplicity 2)
P 0.330 0.250 0.795 (multiplicity 2)
P 0.384 0.250 0.515 (multiplicity 2)
Br 0.500 0.000 0.000 (multiplicity 2)
O 0.027 0.250 0.061 (multiplicity 2)
O 0.090 0.578 0.670 (multiplicity 4)
O 0.091 0.750 0.071 (multiplicity 2)
O 0.095 0.750 0.259 (multiplicity 2)
O 0.147 0.250 0.237 (multiplicity 2)
O 0.167 0.750 0.788 (multiplicity 2)
O 0.188 0.250 0.832 (multiplicity 2)
O 0.188 0.577 0.954 (multiplicity 4)
O 0.211 0.578 0.371 (multiplicity 4)
O 0.275 0.077 0.135 (multiplicity 4)
O 0.303 0.078 0.540 (multiplicity 4)
O 0.314 0.750 0.667 (multiplicity 2)
O 0.323 0.250 0.704 (multiplicity 2)
O 0.351 0.750 0.273 (multiplicity 2)
O 0.406 0.250 0.241 (multiplicity 2)
O 0.407 0.250 0.426 (multiplicity 2)
O 0.411 0.078 0.819 (multiplicity 4)
O 0.479 0.750 0.441 (multiplicity 2)
F 0.002 0.750 0.500 (multiplicity 2)

=====

2.
Computed, not measured: a relaxed Sr10P6BrO24F crystal at the GGA-PBE level of DFT.

Properties
* crystal system: trigonal
* ΔH_f (0 K): -140.30 eV per formula unit
* energy relative to the lowest polymorph listed for this composition: 0.009 eV/atom
* size of the total moment: 0.0 μB/f.u.

Cell: 9.9936 9.9936 7.3255 Å, 90.00 90.00 120.00°
Space group P3 (No. 143)
Asymmetric unit:
Sr 0.0000 0.0000 0.0000 (multiplicity 1)
Sr 0.0000 0.0000 0.4943 (multiplicity 1)
Sr 0.0677 0.3918 0.7393 (multiplicity 3)
Sr 0.0894 0.6612 0.2462 (multiplicity 3)
Sr 0.6667 0.3333 0.4893 (multiplicity 1)
Sr 0.6667 0.3333 0.9947 (multiplicity 1)
P 0.3024 0.0399 0.2458 (multiplicity 3)
P 0.3665 0.2998 0.7469 (multiplicity 3)
Br 0.3333 0.6667 0.9065 (multiplicity 1)
O 0.0650 0.3152 0.0732 (multiplicity 3)
O 0.0678 0.3184 0.4160 (multiplicity 3)
O 0.1883 0.1835 0.7475 (multiplicity 3)
O 0.2146 0.1325 0.2492 (multiplicity 3)
O 0.4123 0.4097 0.5795 (multiplicity 3)
O 0.4218 0.3964 0.9247 (multiplicity 3)
O 0.4576 0.2102 0.7342 (multiplicity 3)
O 0.4808 0.1495 0.2465 (multiplicity 3)
F 0.3333 0.6667 0.3341 (multiplicity 1)

=====

3.
Computed, not measured: a relaxed Sr20P12Br3O48F crystal at the GGA-PBE level of DFT.

Properties
* crystal system: trigonal
* ΔH_f (0 K): -277.21 eV per formula unit
* size of the total moment: 0.0 μB/f.u.

Cell: 10.0684 10.0684 14.5028 Å, 90.00 90.00 120.00°
Space group P-3 (No. 147)
Asymmetric unit:
Sr 0.0014 0.7499 0.3793 (multiplicity 6)
Sr 0.0032 0.7422 0.8751 (multiplicity 6)
Sr 0.3333 0.6667 0.9998 (multiplicity 2)
Sr 0.3333 0.6667 0.2507 (multiplicity 2)
Sr 0.3333 0.6667 0.4994 (multiplicity 2)
Sr 0.3333 0.6667 0.7500 (multiplicity 2)
P 0.0330 0.6242 0.6252 (multiplicity 6)
P 0.0337 0.6252 0.1256 (multiplicity 6)
Br 0.0000 0.0000 0.0000 (multiplicity 1)
Br 0.0000 0.0000 0.2533 (multiplicity 2)
O 0.0833 0.7319 0.5394 (multiplicity 6)
O 0.0841 0.7295 0.2124 (multiplicity 6)
O 0.0849 0.7286 0.7119 (multiplicity 6)
O 0.0850 0.7296 0.0387 (multiplicity 6)
O 0.1225 0.5343 0.6237 (multiplicity 6)
O 0.1241 0.5359 0.1253 (multiplicity 6)
O 0.1423 0.4900 0.8749 (multiplicity 6)
O 0.1429 0.4894 0.3755 (multiplicity 6)
F 0.0000 0.0000 0.5000 (multiplicity 1)

=====

4.
Computed, not measured: a relaxed Pb2BrOF crystal at the GGA-PBE level of DFT.

Properties
* crystal system: orthorhombic
* ΔH_f (0 K): -8.74 eV per formula unit
* size of the total moment: 0.0 μB/f.u.

Cell: 5.910 13.187 5.938 Å, 90.00 90.00 90.00°
Space group Cmme (No. 67)
Asymmetric unit:
Pb 0.000 0.099 0.219 (multiplicity 8)
Br 0.000 0.250 0.771 (multiplicity 4)
O 0.250 0.000 0.000 (multiplicity 4)
F 0.250 0.000 0.500 (multiplicity 4)

=====

5.
Computed, not measured: a relaxed Pb3BrF5 crystal at the GGA-PBE level of DFT.

Properties
* crystal system: monoclinic
* ΔH_f (0 K): -20.41 eV per formula unit
* size of the total moment: 0.0 μB/f.u.

Cell: 9.910 4.641 11.652 Å, 90.00 109.40 90.00°
Space group Cm (No. 8)
Asymmetric unit:
Pb 0.000 0.000 0.000 (multiplicity 2)
Pb 0.053 0.000 0.658 (multiplicity 2)
Pb 0.249 0.500 0.248 (multiplicity 2)
Br 0.385 0.000 0.697 (multiplicity 2)
F 0.072 0.500 0.035 (multiplicity 2)
F 0.143 0.000 0.871 (multiplicity 2)
F 0.216 0.000 0.164 (multiplicity 2)
F 0.400 0.500 0.458 (multiplicity 2)
F 0.443 0.500 0.192 (multiplicity 2)

=====

6.
Computed, not measured: a relaxed Pb2Br2F crystal at the GGA-PBE level of DFT.

Properties
* crystal system: tetragonal
* ΔH_f (0 K): -3.31 eV per formula unit
* size of the total moment: 0.0 μB/f.u.

Cell: 3.934 3.934 14.326 Å, 90.00 90.00 90.00°
Space group P4/mmm (No. 123)
Asymmetric unit:
Pb 0.000 0.000 0.169 (multiplicity 2)
Br 0.000 0.000 0.354 (multiplicity 2)
F 0.000 0.000 0.000 (multiplicity 1)

=====

7.
Computed, not measured: a relaxed Pb7Br2F12 crystal at the GGA-PBE level of DFT.

Properties
* crystal system: hexagonal
* maximum piezoelectric response: 14.44 C/m²
* ΔH_f (0 K): -50.83 eV per formula unit

Cell: 10.5060 10.5060 4.0555 Å, 90.00 90.00 120.00°
Space group P-6 (No. 174)
Asymmetric unit:
Pb 0.0000 0.0000 0.0000 (multiplicity 1)
Pb 0.0997 0.4115 0.0000 (multiplicity 3)
Pb 0.3929 0.2865 0.5000 (multiplicity 3)
Br 0.3333 0.6667 0.5000 (multiplicity 1)
Br 0.6667 0.3333 0.0000 (multiplicity 1)
F 0.0492 0.6169 0.0000 (multiplicity 3)
F 0.0775 0.8711 0.5000 (multiplicity 3)
F 0.2749 0.1143 0.0000 (multiplicity 3)
F 0.4257 0.0395 0.5000 (multiplicity 3)

=====

8.
Computed, not measured: a relaxed Rb3BrF12 crystal at the GGA-PBE level of DFT.

Properties
* crystal system: monoclinic
* ΔH_f (0 K): -19.08 eV per formula unit
* size of the total moment: 2.0 μB/f.u.

Cell: 9.734 9.688 7.511 Å, 90.00 94.25 90.00°
Space group C2/m (No. 12)
Asymmetric unit:
Rb 0.000 0.000 0.000 (multiplicity 2)
Rb 0.250 0.250 0.500 (multiplicity 4)
Br 0.000 0.000 0.500 (multiplicity 2)
F 0.064 0.426 0.292 (multiplicity 8)
F 0.137 0.225 0.814 (multiplicity 8)
F 0.203 0.409 0.824 (multiplicity 8)

=====

9.
Computed, not measured: a relaxed RbBrF4 crystal at the GGA-PBE level of DFT.

Properties
* crystal system: tetragonal
* ΔH_f (0 K): -11.31 eV per formula unit

Cell: 7.151 7.151 11.127 Å, 90.00 90.00 90.00°
Space group I4/mcm (No. 140)
Asymmetric unit:
Rb 0.000 0.000 0.000 (multiplicity 4)
Br 0.000 0.500 0.000 (multiplicity 4)
F 0.140 0.360 0.118 (multiplicity 16)

=====

10.
Computed, not measured: a relaxed Sb3Br2F16 crystal at the GGA-PBE level of DFT.

Properties
* crystal system: monoclinic
* ΔH_f (0 K): -48.81 eV per formula unit

Cell: 13.664 7.862 14.812 Å, 90.00 94.50 90.00°
Space group C2/c (No. 15)
Asymmetric unit:
Sb 0.129 0.143 0.121 (multiplicity 8)
Sb 0.250 0.250 0.500 (multiplicity 4)
Br 0.068 0.335 0.797 (multiplicity 8)
F 0.009 0.022 0.121 (multiplicity 8)
F 0.082 0.266 0.017 (multiplicity 8)
F 0.096 0.311 0.205 (multiplicity 8)
F 0.145 0.340 0.423 (multiplicity 8)
F 0.167 0.044 0.524 (multiplicity 8)
F 0.185 0.012 0.709 (multiplicity 8)
F 0.201 0.363 0.600 (multiplicity 8)
F 0.241 0.273 0.891 (multiplicity 8)

=====

11.
Computed, not measured: a relaxed SnBrF crystal at the GGA-PBE level of DFT.

Properties
* crystal system: tetragonal
* ΔH_f (0 K): -4.93 eV per formula unit
* size of the total moment: 0.0 μB/f.u.

Cell: 4.106 4.106 7.898 Å, 90.00 90.00 90.00°
Space group P4/nmm (No. 129, origin choice 2)
Asymmetric unit:
Sn 0.250 0.250 0.188 (multiplicity 2)
Br 0.250 0.250 0.653 (multiplicity 2)
F 0.250 0.750 0.000 (multiplicity 2)

=====

12.
Computed, not measured: a relaxed SrBrF crystal at the GGA-PBE level of DFT.

Properties
* crystal system: tetragonal
* ΔH_f (0 K): -9.65 eV per formula unit

Cell: 4.257 4.257 7.505 Å, 90.00 90.00 90.00°
Space group P4/nmm (No. 129, origin choice 2)
Asymmetric unit:
Sr 0.250 0.250 0.185 (multiplicity 2)
Br 0.250 0.250 0.647 (multiplicity 2)
F 0.250 0.750 0.000 (multiplicity 2)

=====

13.
Computed, not measured: a relaxed FeBr2 crystal at the GGA-PBE level of DFT.

Properties
* crystal system: trigonal
* ΔH_f (0 K): -2.39 eV per formula unit

Cell: 3.7280 3.7280 6.5578 Å, 90.00 90.00 120.00°
Space group P-3m1 (No. 164)
Asymmetric unit:
Fe 0.0000 0.0000 0.0000 (multiplicity 1)
Br 0.3333 0.6667 0.2287 (multiplicity 2)